[1]
Below is an optimized crystal structure of Mn8Zn14Ga27, with properties calculated at the PBE level.

Unit cell a=9.2244 b=9.2244 c=9.2244 alpha=94.77 beta=94.77 gamma=94.77
Atoms (fractional coordinates):
Mn  0.7194  0.0957  0.3862
Mn  0.1855  0.1855  0.1855
Mn  0.6138  0.2806  0.9043
Mn  0.2806  0.9043  0.6138
Mn  0.9043  0.6138  0.2806
Mn  0.3862  0.7194  0.0957
Mn  0.0957  0.3862  0.7194
Mn  0.8145  0.8145  0.8145
Zn  0.4634  0.2308  0.3403
Zn  0.3748  0.7346  0.3871
Zn  0.5000  0.5000  0.5000
Zn  0.7692  0.6597  0.5366
Zn  0.2654  0.6129  0.6252
Zn  0.2308  0.3403  0.4634
Zn  0.5366  0.7692  0.6597
Zn  0.7346  0.3871  0.3748
Zn  0.6252  0.2654  0.6129
Zn  0.3403  0.4634  0.2308
Zn  0.6597  0.5366  0.7692
Zn  0.6129  0.6252  0.2654
Zn  0.3871  0.3748  0.7346
Zn  0.0000  0.0000  0.0000
Ga  0.4466  0.0861  0.7739
Ga  0.2216  0.0437  0.3992
Ga  0.2684  0.9473  0.1202
Ga  0.3280  0.8233  0.8577
Ga  0.8233  0.8577  0.3280
Ga  0.8798  0.7316  0.0527
Ga  0.8577  0.3280  0.8233
Ga  0.3992  0.2216  0.0437
Ga  0.1767  0.1423  0.6720
Ga  0.0527  0.8798  0.7316
Ga  0.1202  0.2684  0.9473
Ga  0.2261  0.5534  0.9139
Ga  0.7784  0.9563  0.6008
Ga  0.9563  0.6008  0.7784
Ga  0.9139  0.2261  0.5534
Ga  0.5534  0.9139  0.2261
Ga  0.5000  0.0000  0.5000
Ga  0.9473  0.1202  0.2684
Ga  0.7316  0.0527  0.8798
Ga  0.7739  0.4466  0.0861
Ga  0.6008  0.7784  0.9563
Ga  0.6720  0.1767  0.1423
Ga  0.0437  0.3992  0.2216
Ga  0.1423  0.6720  0.1767
Ga  0.0861  0.7739  0.4466
Ga  0.5000  0.5000  0.0000
Ga  0.0000  0.5000  0.5000

Properties
Formation energy from the elements: -118 meV per atom

***

[2]
Below is an optimized crystal structure of Zr3Mn2Ga6, with properties calculated at the PBE level.

Unit cell a=5.4032 b=7.7183 c=8.7547 alpha=90.00 beta=90.00 gamma=90.00
Atoms (fractional coordinates):
Zr  0.5000  0.1529  0.7807
Zr  0.5000  0.1529  0.2193
Zr  0.0000  0.8471  0.7193
Zr  0.0000  0.8471  0.2807
Zr  0.5000  0.7199  0.5000
Zr  0.0000  0.2801  0.0000
Mn  0.2500  0.5000  0.2500
Mn  0.2500  0.5000  0.7500
Mn  0.7500  0.5000  0.2500
Mn  0.7500  0.5000  0.7500
Ga  0.5000  0.7639  0.1869
Ga  0.5000  0.7639  0.8131
Ga  0.0000  0.2361  0.3131
Ga  0.0000  0.2361  0.6869
Ga  0.5000  0.3675  0.5000
Ga  0.0000  0.6325  0.0000
Ga  0.0000  0.5639  0.5000
Ga  0.5000  0.4361  0.0000
Ga  0.2603  0.0435  0.5000
Ga  0.7397  0.0435  0.5000
Ga  0.2397  0.9565  0.0000
Ga  0.7603  0.9565  0.0000

Properties
Formation energy from the elements: -468 meV per atom